Below is a geometry-optimized Li2GaAg structure, with properties calculated at the PBE level.

Geometry as CIF:
```
data_Li2GaAg
_chemical_formula_sum 'Li2 Ga1 Ag1'
_symmetry_space_group_name_H-M 'P 1'
_symmetry_Int_Tables_number 1
_cell_length_a 4.463
_cell_length_b 4.463
_cell_length_c 4.463
_cell_angle_alpha 60.00
_cell_angle_beta 60.00
_cell_angle_gamma 60.00
loop_
_symmetry_equiv_pos_as_xyz
'x,y,z'
loop_
_atom_site_label
_atom_site_type_symbol
_atom_site_fract_x
_atom_site_fract_y
_atom_site_fract_z
Ga1 Ga 0.000 0.000 0.000
Ag1 Ag 0.250 0.250 0.250
Li1 Li 0.500 0.500 0.500
Li2 Li 0.750 0.750 0.750
```

Output
calculated formation energy: -29 kJ per mole of atoms
E_tot: -2.720 eV/atom